Material: KYP2Se6
Method: DFT, PBE-GGA
State: optimized geometry

a b c (Å): 6.8490 7.5503 21.8711
angles (deg): 90.00 90.00 90.00
Closest atoms and distances in Å follow each position.
Space group P2_12_12_1 (No. 19)
Unique sites:
K 0.1237 0.0195 0.4960  7 Se 3.46-3.79
Y 0.2174 0.1805 0.2513  8 Se 2.98-3.11
P 0.1763 0.4481 0.3898  3 Se 2.17-2.25, 1 P 2.26
P 0.1922 0.3286 0.8345  3 Se 2.19-2.25, 1 P 2.26
Se 0.0675 0.8724 0.3312  1 P 2.24
Se 0.0746 0.8676 0.1704  1 P 2.25
Se 0.0881 0.7366 0.6288  1 P 2.19
Se 0.1115 0.7659 0.8802  1 P 2.18
Se 0.1194 0.5396 0.4820  1 P 2.17
Se 0.1296 0.4514 0.7429  1 P 2.25

Output
ΔH_f (0 K) (eV/atom): -1.0745
Volume (Å³/f.u.): 283